Entry from the Materials Project database: Rb2TaCuSe2 after structural relaxation (PBE).

```
data_Rb2TaCuSe2
_chemical_formula_sum 'Rb8 Ta4 Cu4 Se8'
_cell_length_a 5.6494
_cell_length_b 6.8947
_cell_length_c 23.0397
_cell_angle_alpha 87.12
_cell_angle_beta 82.96
_cell_angle_gamma 65.81
_space_group_name_H-M_alt 'P 1'
_space_group_IT_number 1
loop_
_space_group_symop_operation_xyz
'x,y,z'
loop_
_atom_site_label
_atom_site_fract_x
_atom_site_fract_y
_atom_site_fract_z
_atom_site_occupancy
Cu1 0.3750 0.2500 0.7500 1
Cu2 0.3750 0.7500 0.2500 1
Cu3 0.3750 0.2500 0.2500 1
Cu4 0.8750 0.7500 0.7500 1
Rb1 0.6309 0.2370 0.0903 1
Rb2 0.1321 0.2370 0.9097 1
Rb3 0.1191 0.2630 0.4097 1
Rb4 0.4712 0.7370 0.4097 1
Rb5 0.7918 0.7370 0.5903 1
Rb6 0.9582 0.7630 0.9097 1
Rb7 0.6179 0.2630 0.5903 1
Rb8 0.2788 0.7630 0.0903 1
Se1 0.6411 0.2785 0.3482 1
Se2 0.7393 0.7785 0.1518 1
Se3 0.2678 0.7215 0.6518 1
Se4 0.4822 0.7785 0.8482 1
Se5 0.0107 0.7215 0.3482 1
Se6 0.1089 0.2215 0.1518 1
Se7 0.0804 0.2785 0.6518 1
Se8 0.6696 0.2215 0.8482 1
Ta1 0.8750 0.2500 0.7500 1
Ta2 0.8750 0.2500 0.2500 1
Ta3 0.8750 0.7500 0.2500 1
Ta4 0.3750 0.7500 0.7500 1
```

Values from the calculation:
- Total magnetic moment: 0.0 μB per cell
- Energy with MP2020 corrections: -0.315 Ry per atom



Entry from the Materials Project database: DySi2Ni after structural relaxation (PBE).

```
data_DySi2Ni
_chemical_formula_sum 'Dy2 Si4 Ni2'
_cell_length_a 8.4686
_cell_length_b 8.4686
_cell_length_c 3.9556
_cell_angle_alpha 90.00
_cell_angle_beta 90.00
_cell_angle_gamma 152.73
_space_group_name_H-M_alt 'P 1'
_space_group_IT_number 1
loop_
_space_group_symop_operation_xyz
'x,y,z'
loop_
_atom_site_label
_atom_site_fract_x
_atom_site_fract_y
_atom_site_fract_z
_atom_site_occupancy
Si1 0.5400 0.4600 0.7500 1
Si2 0.7494 0.2506 0.2500 1
Si3 0.4600 0.5400 0.2500 1
Si4 0.2506 0.7494 0.7500 1
Dy1 0.8942 0.1058 0.7500 1
Dy2 0.1058 0.8942 0.2500 1
Ni1 0.6773 0.3227 0.7500 1
Ni2 0.3227 0.6773 0.2500 1
```



Entry from the Materials Project database: GdLuRh2 after structural relaxation (PBE).

```
data_GdLuRh2
_chemical_formula_sum 'Gd1 Lu1 Rh2'
_cell_length_a 4.8367
_cell_length_b 4.8367
_cell_length_c 4.8367
_cell_angle_alpha 60.00
_cell_angle_beta 60.00
_cell_angle_gamma 60.00
_space_group_name_H-M_alt 'P 1'
_space_group_IT_number 1
loop_
_space_group_symop_operation_xyz
'x,y,z'
loop_
_atom_site_label
_atom_site_fract_x
_atom_site_fract_y
_atom_site_fract_z
_atom_site_occupancy
Lu1 0.0000 0.0000 0.0000 1
Rh1 0.2500 0.2500 0.2500 1
Rh2 0.7500 0.7500 0.7500 1
Gd1 0.5000 0.5000 0.5000 1
```

Values from the calculation:
- Total magnetic moment: 7.0 μB per cell



Entry from the Materials Project database: MgSnF5 after structural relaxation (PBE).

```
data_MgSnF5
_chemical_formula_sum 'Mg2 Sn2 F10'
_cell_length_a 5.6092
_cell_length_b 5.6092
_cell_length_c 8.1478
_cell_angle_alpha 68.40
_cell_angle_beta 68.40
_cell_angle_gamma 71.75
_space_group_name_H-M_alt 'P 1'
_space_group_IT_number 1
loop_
_space_group_symop_operation_xyz
'x,y,z'
loop_
_atom_site_label
_atom_site_fract_x
_atom_site_fract_y
_atom_site_fract_z
_atom_site_occupancy
Sn1 0.0000 0.0000 0.0000 1
Sn2 0.0000 0.0000 0.5000 1
Mg1 0.4877 0.5123 0.2500 1
Mg2 0.5123 0.4877 0.7500 1
F1 0.3258 0.7065 0.5600 1
F2 0.2935 0.6742 0.9400 1
F3 0.2243 0.2967 0.3600 1
F4 0.7033 0.7757 0.1400 1
F5 0.7757 0.7033 0.6400 1
F6 0.2967 0.2243 0.8600 1
F7 0.8581 0.1419 0.7500 1
F8 0.1419 0.8581 0.2500 1
F9 0.7065 0.3258 0.0600 1
F10 0.6742 0.2935 0.4400 1
```

Values from the calculation:
- Total magnetic moment: 0.0 μB per cell
- Energy with MP2020 corrections: -0.382 Ry per atom



Entry from the Materials Project database: SmMg2 after structural relaxation (PBE).

```
data_SmMg2
_chemical_formula_sum 'Sm2 Mg4'
_cell_length_a 6.0986
_cell_length_b 6.0986
_cell_length_c 6.0986
_cell_angle_alpha 60.00
_cell_angle_beta 60.00
_cell_angle_gamma 60.00
_space_group_name_H-M_alt 'P 1'
_space_group_IT_number 1
loop_
_space_group_symop_operation_xyz
'x,y,z'
loop_
_atom_site_label
_atom_site_fract_x
_atom_site_fract_y
_atom_site_fract_z
_atom_site_occupancy
Sm1 0.2500 0.2500 0.2500 1
Sm2 0.5000 0.5000 0.5000 1
Mg1 0.8750 0.3750 0.8750 1
Mg2 0.8750 0.8750 0.3750 1
Mg3 0.3750 0.8750 0.8750 1
Mg4 0.8750 0.8750 0.8750 1
```



Entry from the Materials Project database: Mg7Si4 after structural relaxation (PBE).

```
data_Mg7Si4
_chemical_formula_sum 'Mg14 Si8'
_cell_length_a 5.5470
_cell_length_b 6.1410
_cell_length_c 13.2184
_cell_angle_alpha 97.07
_cell_angle_beta 101.35
_cell_angle_gamma 89.38
_space_group_name_H-M_alt 'P 1'
_space_group_IT_number 1
loop_
_space_group_symop_operation_xyz
'x,y,z'
loop_
_atom_site_label
_atom_site_fract_x
_atom_site_fract_y
_atom_site_fract_z
_atom_site_occupancy
Mg1 0.0426 0.4050 0.0044 1
Mg2 0.5264 0.5478 0.9114 1
Mg3 0.7836 0.7100 0.3959 1
Mg4 0.3211 0.9945 0.4259 1
Mg5 0.2490 0.6626 0.2331 1
Mg6 0.1414 0.2286 0.7527 1
Mg7 0.4241 0.0807 0.9592 1
Mg8 0.3071 0.4997 0.4488 1
Mg9 0.5679 0.4255 0.6666 1
Mg10 0.9839 0.7334 0.8187 1
Mg11 0.3786 0.1762 0.2303 1
Mg12 0.6902 0.9099 0.6172 1
Mg13 0.8204 0.2182 0.4573 1
Mg14 0.9677 0.9156 0.0436 1
Si1 0.5938 0.4354 0.1141 1
Si2 0.9192 0.3587 0.2642 1
Si3 0.7182 0.1593 0.8226 1
Si4 0.0270 0.5313 0.6111 1
Si5 0.5288 0.8216 0.1109 1
Si6 0.4504 0.8346 0.7699 1
Si7 0.1691 0.8952 0.5965 1
Si8 0.8896 0.9673 0.2496 1
```

Values from the calculation:
- Total magnetic moment: 0.0 μB per cell
- Energy with MP2020 corrections: -0.215 Ry per atom



Number 1: electronic total energy -0.1519 Ha/atom, calculated density 4.7 Mg/m³, ΔE_f -0.8 eV/f.u.. Number 2: electronic total energy -0.2259 Ha/atom, calculated density 7.1 Mg/m³, ΔE_f -3.4 eV/f.u.. Number 3: electronic total energy -0.3386 Ha/atom, calculated density 11.2 Mg/m³, ΔE_f -3.5 eV/f.u.. Number 4: electronic total energy -0.1791 Ha/atom, calculated density 3.6 Mg/m³, ΔE_f -21.2 eV/f.u.. Number 5: electronic total energy -0.1002 Ha/atom, calculated density 4.1 Mg/m³, ΔE_f -0.3 eV/f.u.. Number 6: electronic total energy -0.1083 Ha/atom, calculated density 2.1 Mg/m³, ΔE_f 0.8 eV/f.u..